Crystalline ZnS at its relaxed geometry. Source: the Materials Project database, functional GGA-PBE.

Properties
The calculation puts the total energy at -0.2571 Ry per atom. As for the total magnetic moment: 0.0 μB per cell.

extended XYZ file:
```
36
Lattice="0.852 3.776 0.197 -2.786 2.644 -0.514 -11.348 1.657 55.372" Properties=species:S:1:pos:R:3 pbc="T T T"
S -9.465 3.911 42.164
S -2.380 6.400 1.992
S -10.604 1.690 51.515
S -7.732 6.158 29.733
S -5.253 1.932 23.778
S -9.415 1.744 45.350
S -5.948 6.239 20.486
S -2.330 4.233 5.180
S -4.164 6.319 11.238
S -4.063 1.986 17.612
S -9.516 6.077 38.976
S -7.682 3.991 32.919
S -11.300 5.997 48.224
S -11.845 3.803 54.495
S -2.280 2.066 8.367
S -6.492 4.045 26.752
S -7.631 1.824 36.106
S -4.114 4.152 14.426
Zn -6.047 4.065 24.446
Zn -4.808 1.952 21.471
Zn -7.236 4.011 30.611
Zn -8.970 1.764 43.046
Zn -10.159 1.710 49.209
Zn -1.834 2.086 6.059
Zn -3.719 6.339 8.931
Zn -11.399 3.823 52.185
Zn -1.935 6.420 -0.316
Zn -1.884 4.253 2.871
Zn -7.186 1.845 33.798
Zn -7.286 6.178 27.422
Zn -5.503 6.259 18.177
Zn -10.854 6.017 45.916
Zn -3.618 2.006 15.306
Zn -9.070 6.098 36.668
Zn -3.669 4.172 12.119
Zn -9.020 3.931 39.857
```